Entry from the Materials Project: a relaxed SrMg crystal (PBE).

Cell lengths 5.550, 5.550, 5.550 Å; angles 60.00, 60.00, 60.00 degrees
Sites, in units of the cell vectors:
Sr 0.000 0.000 0.000
Mg 0.750 0.750 0.750

Values from the calculation:
Calculated formation energy, eV per atom: 0.695
Theoretical density, Mg/m³: 1.54
M_tot, μB/f.u.: 0.215

Entry from the Materials Project: a relaxed SrMg5 crystal (PBE).

Cell lengths 12.635, 3.283, 8.366 Å; angles 90.00, 107.15, 90.00 degrees
Sites, in units of the cell vectors:
Sr 0.384 0.000 0.273
Sr 0.884 0.500 0.273
Mg 0.010 0.000 0.987
Mg 0.159 0.500 0.346
Mg 0.062 0.000 0.630
Mg 0.334 0.000 0.676
Mg 0.218 0.500 0.922
Mg 0.510 0.500 0.987
Mg 0.659 0.000 0.346
Mg 0.562 0.500 0.630
Mg 0.834 0.500 0.676
Mg 0.718 0.000 0.922

Values from the calculation:
Calculated formation energy, eV per atom: 0.092
Theoretical density, Mg/m³: 2.10
ΔE to the lowest computed polymorph, meV per atom: 132
M_tot, μB/f.u.: 0.002

Entry from the Materials Project: a relaxed SrMg7 crystal (PBE).

Cell lengths 6.792, 6.792, 5.300 Å; angles 90.00, 90.00, 120.00 degrees
Sites, in units of the cell vectors:
Sr 0.000 0.000 0.000
Mg 0.008 0.504 0.000
Mg 0.174 0.349 0.500
Mg 0.174 0.826 0.500
Mg 0.496 0.504 0.000
Mg 0.496 0.992 0.000
Mg 0.651 0.826 0.500
Mg 0.667 0.333 0.500

Values from the calculation:
Calculated formation energy, eV per atom: 0.059
Theoretical density, Mg/m³: 2.02
M_tot, μB/f.u.: 0.004

Entry from the Materials Project: a relaxed SrMg crystal (PBE).

Cell lengths 6.005, 6.005, 6.005 Å; angles 39.76, 39.76, 39.76 degrees
Sites, in units of the cell vectors:
Sr 0.000 0.000 0.000
Mg 0.500 0.500 0.500

Values from the calculation:
Calculated formation energy, eV per atom: 0.137
Theoretical density, Mg/m³: 2.33
M_tot, μB/f.u.: 0.011

Entry from the Materials Project: a relaxed Sr3Mg crystal (PBE).

Cell lengths 5.650, 5.650, 5.650 Å; angles 90.00, 90.00, 90.00 degrees
Sites, in units of the cell vectors:
Sr 0.000 0.000 0.500
Sr 0.000 0.500 0.000
Sr 0.500 0.000 0.000
Mg 0.500 0.500 0.500

Values from the calculation:
Calculated formation energy, eV per atom: 0.040
Theoretical density, Mg/m³: 2.64
M_tot, μB/f.u.: 0.338

Entry from the Materials Project: a relaxed Sr9Mg38 crystal (PBE).

Cell lengths 10.518, 10.518, 27.900 Å; angles 90.00, 90.00, 120.00 degrees
Sites, in units of the cell vectors:
Sr 0.046 0.523 0.250
Sr 0.139 0.278 0.563
Sr 0.139 0.278 0.937
Sr 0.139 0.861 0.563
Sr 0.139 0.861 0.937
Sr 0.278 0.139 0.063
Sr 0.278 0.139 0.437
Sr 0.477 0.523 0.250
Sr 0.477 0.954 0.250
Sr 0.523 0.046 0.750
Sr 0.523 0.477 0.750
Sr 0.722 0.861 0.563
Sr 0.722 0.861 0.937
Sr 0.861 0.139 0.063
Sr 0.861 0.139 0.437
Sr 0.861 0.722 0.063
Sr 0.861 0.722 0.437
Sr 0.954 0.477 0.750
Mg 0.000 0.000 0.157
Mg 0.000 0.000 0.343
Mg 0.000 0.000 0.657
Mg 0.000 0.000 0.843
Mg 0.000 0.500 0.000
Mg 0.000 0.500 0.500
Mg 0.010 0.505 0.619
Mg 0.010 0.505 0.881
Mg 0.098 0.196 0.250
Mg 0.098 0.902 0.250
Mg 0.168 0.335 0.154
Mg 0.168 0.335 0.346
Mg 0.168 0.832 0.154
Mg 0.168 0.832 0.346
Mg 0.170 0.340 0.690
Mg 0.170 0.340 0.810
Mg 0.170 0.830 0.690
Mg 0.170 0.830 0.810
Mg 0.196 0.098 0.750
Mg 0.234 0.468 0.055
Mg 0.234 0.468 0.445
Mg 0.234 0.766 0.055
Mg 0.234 0.766 0.445
Mg 0.333 0.667 0.151
Mg 0.333 0.667 0.349
Mg 0.333 0.667 0.542
Mg 0.333 0.667 0.657
Mg 0.333 0.667 0.843
Mg 0.333 0.667 0.958
Mg 0.335 0.168 0.654
Mg 0.335 0.168 0.846
Mg 0.340 0.170 0.190
Mg 0.340 0.170 0.310
Mg 0.468 0.234 0.555
Mg 0.468 0.234 0.945
Mg 0.495 0.505 0.619
Mg 0.495 0.505 0.881
Mg 0.495 0.990 0.619
Mg 0.495 0.990 0.881
Mg 0.500 0.000 0.000
Mg 0.500 0.000 0.500
Mg 0.500 0.500 0.000
Mg 0.500 0.500 0.500
Mg 0.505 0.010 0.119
Mg 0.505 0.010 0.381
Mg 0.505 0.495 0.119
Mg 0.505 0.495 0.381
Mg 0.532 0.766 0.055
Mg 0.532 0.766 0.445
Mg 0.660 0.830 0.690
Mg 0.660 0.830 0.810
Mg 0.665 0.832 0.154
Mg 0.665 0.832 0.346
Mg 0.667 0.333 0.042
Mg 0.667 0.333 0.157
Mg 0.667 0.333 0.343
Mg 0.667 0.333 0.458
Mg 0.667 0.333 0.651
Mg 0.667 0.333 0.849
Mg 0.766 0.234 0.555
Mg 0.766 0.234 0.945
Mg 0.766 0.532 0.555
Mg 0.766 0.532 0.945
Mg 0.804 0.902 0.250
Mg 0.830 0.170 0.190
Mg 0.830 0.170 0.310
Mg 0.830 0.660 0.190
Mg 0.830 0.660 0.310
Mg 0.832 0.168 0.654
Mg 0.832 0.168 0.846
Mg 0.832 0.665 0.654
Mg 0.832 0.665 0.846
Mg 0.902 0.098 0.750
Mg 0.902 0.804 0.750
Mg 0.990 0.495 0.119
Mg 0.990 0.495 0.381

Values from the calculation:
Calculated formation energy, eV per atom: -0.059
Theoretical density, Mg/m³: 2.13
M_tot, μB/f.u.: 0.017